Record 1
A relaxed EuAu3 crystal, computed with GGA-PBE.

Cell: 6.5369 6.5369 4.9104 Å, 90.00 90.00 120.00°
Closest atoms and distances in Å follow each position.
Positions (direct):
1 Eu 0.3333 0.6667 0.2500  12 Au 3.20-3.27
2 Eu 0.6667 0.3333 0.7500  12 Au 3.20-3.27
3 Au 0.1521 0.3042 0.7500  6 Au 2.98-3.00, 4 Eu 3.20-3.27
4 Au 0.1521 0.8479 0.7500  6 Au 2.98-3.00, 4 Eu 3.20-3.27
5 Au 0.3042 0.1521 0.2500  6 Au 2.98-3.00, 4 Eu 3.20-3.27
6 Au 0.6958 0.8479 0.7500  6 Au 2.98-3.00, 4 Eu 3.20-3.27
7 Au 0.8479 0.1521 0.2500  6 Au 2.98-3.00, 4 Eu 3.20-3.27
8 Au 0.8479 0.6958 0.2500  6 Au 2.98-3.00, 4 Eu 3.20-3.27

Space-group type ... No. 194
Formation energy ... -556 meV/atom

---

Record 2
A relaxed Mn9Au31 crystal, computed with GGA-PBE.

Cell: 12.9363 12.9363 4.0227 Å, 90.00 90.00 90.00°
Closest atoms and distances in Å follow each position.
Positions (direct):
1 Mn 0.0000 0.0000 0.0000  12 Au 2.84-2.91
2 Mn 0.0503 0.6497 0.5000  12 Au 2.84-2.90
3 Mn 0.2976 0.3980 0.0000  12 Au 2.81-2.93
4 Mn 0.3503 0.0503 0.5000  12 Au 2.84-2.90
5 Mn 0.3980 0.7024 0.0000  12 Au 2.81-2.93
6 Mn 0.6020 0.2976 0.0000  12 Au 2.81-2.93
7 Mn 0.6497 0.9497 0.5000  12 Au 2.84-2.90
8 Mn 0.7024 0.6020 0.0000  12 Au 2.81-2.93
9 Mn 0.9497 0.3503 0.5000  12 Au 2.84-2.90
10 Au 0.0000 0.5000 0.0000  8 Au 2.85-2.89, 4 Mn 2.87
11 Au 0.0463 0.1483 0.5000  9 Au 2.83-3.00, 3 Mn 2.84-2.90
12 Au 0.0977 0.7971 0.0000  9 Au 2.83-2.98, 3 Mn 2.84-2.91
13 Au 0.0986 0.3027 0.0000  9 Au 2.85-2.98, 3 Mn 2.85-2.86
14 Au 0.1483 0.9537 0.5000  9 Au 2.83-3.00, 3 Mn 2.84-2.90
15 Au 0.1501 0.4498 0.5000  8 Au 2.85-2.88, 4 Mn 2.85-2.90
16 Au 0.1998 0.5998 0.0000  8 Au 2.85-2.89, 4 Mn 2.86-2.90
17 Au 0.2029 0.0977 0.0000  9 Au 2.83-2.98, 3 Mn 2.84-2.91
18 Au 0.2526 0.7462 0.5000  3 Mn 2.81-2.90, 9 Au 2.85-3.00
19 Au 0.2538 0.2526 0.5000  3 Mn 2.81-2.90, 9 Au 2.85-3.00
20 Au 0.3027 0.9014 0.0000  9 Au 2.85-2.98, 3 Mn 2.85-2.86
21 Au 0.3502 0.5470 0.5000  8 Au 2.86-2.88, 4 Mn 2.87-2.91
22 Au 0.4002 0.1998 0.0000  8 Au 2.85-2.89, 4 Mn 2.86-2.90
23 Au 0.4498 0.8499 0.5000  8 Au 2.85-2.88, 4 Mn 2.85-2.90
24 Au 0.4530 0.3502 0.5000  8 Au 2.86-2.88, 4 Mn 2.87-2.91
25 Au 0.5000 0.0000 0.0000  8 Au 2.85-2.89, 4 Mn 2.87
26 Au 0.5000 0.5000 0.0000  8 Au 2.86, 4 Mn 2.93
27 Au 0.5470 0.6498 0.5000  8 Au 2.86-2.88, 4 Mn 2.87-2.91
28 Au 0.5502 0.1501 0.5000  8 Au 2.85-2.88, 4 Mn 2.85-2.90
29 Au 0.5998 0.8002 0.0000  8 Au 2.85-2.89, 4 Mn 2.86-2.90
30 Au 0.6498 0.4530 0.5000  8 Au 2.86-2.88, 4 Mn 2.87-2.91
31 Au 0.6973 0.0986 0.0000  9 Au 2.85-2.98, 3 Mn 2.85-2.86
32 Au 0.7462 0.7474 0.5000  3 Mn 2.81-2.90, 9 Au 2.85-3.00
33 Au 0.7474 0.2538 0.5000  3 Mn 2.81-2.90, 9 Au 2.85-3.00
34 Au 0.7971 0.9023 0.0000  9 Au 2.83-2.98, 3 Mn 2.84-2.91
35 Au 0.8002 0.4002 0.0000  8 Au 2.85-2.89, 4 Mn 2.86-2.90
36 Au 0.8499 0.5502 0.5000  8 Au 2.85-2.88, 4 Mn 2.85-2.90
37 Au 0.8517 0.0463 0.5000  9 Au 2.83-3.00, 3 Mn 2.84-2.90
38 Au 0.9014 0.6973 0.0000  9 Au 2.85-2.98, 3 Mn 2.85-2.86
39 Au 0.9023 0.2029 0.0000  9 Au 2.83-2.98, 3 Mn 2.84-2.91
40 Au 0.9537 0.8517 0.5000  9 Au 2.83-3.00, 3 Mn 2.84-2.90

Space-group type ... No. 83
Formation energy ... -62 meV/atom

---

Record 3
A relaxed LaVGe3 crystal, computed with GGA-PBE.

Cell: 6.3177 6.3177 5.6815 Å, 90.00 90.00 120.00°
Closest atoms and distances in Å follow each position.
Positions (direct):
1 La 0.3333 0.6667 0.2500  12 Ge 3.17-3.23
2 La 0.6667 0.3333 0.7500  12 Ge 3.17-3.23
3 V 0.0000 0.0000 0.0000  6 Ge 2.55, 2 V 2.84
4 V 0.0000 0.0000 0.5000  6 Ge 2.55, 2 V 2.84
5 Ge 0.1937 0.3873 0.7500  2 V 2.55, 2 Ge 2.65
6 Ge 0.1937 0.8063 0.7500  2 V 2.55, 2 Ge 2.65
7 Ge 0.3873 0.1937 0.2500  2 V 2.55, 2 Ge 2.65
8 Ge 0.6127 0.8063 0.7500  2 V 2.55, 2 Ge 2.65
9 Ge 0.8063 0.1937 0.2500  2 V 2.55, 2 Ge 2.65
10 Ge 0.8063 0.6127 0.2500  2 V 2.55, 2 Ge 2.65

Space-group type ... No. 194
Formation energy ... -572 meV/atom